[1]
Density functional theory data (PBE+U) for a geometry-optimized BaGd2NiO5 structure.

Cell: 3.8345 5.8735 11.5638 Å, 90.00 90.00 90.00°
Closest atoms and distances in Å follow each position.
Space group Immm (No. 71)
Symmetry-distinct sites (fractional):
Ba (0.0000, 0.0000, 0.0000) x2  10 O 2.94-2.98
Gd (0.0000, 0.5000, 0.2034) x4  7 O 2.30-2.47
Ni (0.0000, 0.0000, 0.5000) x2  2 O 1.92
O (0.0000, 0.2414, 0.3523) x8  1 Ni 2.22, 3 Gd 2.30-2.47
O (0.0000, 0.5000, 0.0000) x2  2 Ni 1.92

Values from the calculation:
- energy of formation from the pure elements (eV per formula unit) = -27.62
- total magnetization (μB/f.u.) = 12.0
- V (A^3/atom) = 14.469
- theoretical density (g/cm³) = 7.5



[2]
Density functional theory data (PBE+U) for a geometry-optimized Ba2GdWO6 structure.

Cell: 8.5792 8.5792 8.5792 Å, 90.00 90.00 90.00°
Closest atoms and distances in Å follow each position.
Space group Pn-3 (No. 201, origin choice 2)
Symmetry-distinct sites (fractional):
Ba (0.2500, 0.2500, 0.2500) x2  12 O 3.02
Ba (0.2500, 0.2500, 0.7500) x6  8 O 2.86-3.07
Gd (0.0000, 0.0000, 0.0000) x4  6 O 2.29
W (0.0000, 0.0000, 0.5000) x4  6 O 2.02
O (0.0126, 0.5169, 0.7659) x24  1 W 2.02

Values from the calculation:
- energy of formation from the pure elements (eV per formula unit) = -30.49
- total magnetization (μB/f.u.) = 6.0
- V (A^3/atom) = 15.786
- theoretical density (g/cm³) = 7.5



Number 1: calculated total energy -9.138 eV per atom. Number 2: calculated total energy -8.249 eV per atom.